(1)
VASP calculation (r²SCAN) on a relaxed HoCo2 crystal.

Properties
* space group: Fd-3m (227)
* M_tot: 2.0 μB per formula unit
* E_form: -0.153 eV per atom
* theoretical density: 10.410 g/cm³
* crystal system: cubic

a = 5.034 Å, b = 5.034 Å, c = 5.034 Å
α = 60.00°, β = 60.00°, γ = 60.00°
Atoms (fractional coordinates):
Ho: 0.125 0.125 0.125
Ho: 0.875 0.875 0.875
Co: 0.000 0.500 0.500
Co: 0.500 0.000 0.500
Co: 0.500 0.500 0.000
Co: 0.500 0.500 0.500

---

(2)
VASP calculation (r²SCAN) on a relaxed YbEuAg2 crystal.

Properties
* space group: Fm-3m (225)
* M_tot: 7.1 μB per formula unit
* E_form: -0.260 eV per atom
* theoretical density: 9.202 g/cm³
* crystal system: cubic

a = 5.168 Å, b = 5.168 Å, c = 5.168 Å
α = 60.00°, β = 60.00°, γ = 60.00°
Atoms (fractional coordinates):
Yb: 0.000 0.000 0.000
Eu: 0.500 0.500 0.500
Ag: 0.250 0.250 0.250
Ag: 0.750 0.750 0.750

---

(3)
VASP calculation (r²SCAN) on a relaxed Lu2BeOs crystal.

Properties
* space group: Fm-3m (225)
* M_tot: 0.0 μB per formula unit
* E_form: -0.271 eV per atom
* theoretical density: 12.462 g/cm³
* crystal system: cubic

a = 4.695 Å, b = 4.695 Å, c = 4.695 Å
α = 60.00°, β = 60.00°, γ = 60.00°
Atoms (fractional coordinates):
Lu: 0.250 0.250 0.250
Lu: 0.750 0.750 0.750
Be: 0.000 0.000 0.000
Os: 0.500 0.500 0.500